Here is a relaxed structure of Li2Nb6NiO18 from the Materials Project. Energies are from PBE with a Hubbard U.

Unit cell a=7.6718 b=8.9698 c=11.1571 alpha=105.55 beta=96.15 gamma=112.95
With the nearest neighbours (Å) after each atom.
Positions (direct):
O 0.6473 0.1100 0.1785  2 Nb 2.01-2.22, 1 Ni 2.01
O 0.3660 0.7903 0.0259  1 Nb 1.83
O 0.3894 0.2562 0.2949  1 Nb 1.84
O 0.2991 0.4648 0.5022  2 Nb 1.89-2.04
O 0.9804 0.1100 0.3498  1 Ni 1.94, 1 Nb 2.01
O 0.7244 0.9240 0.4445  1 Ni 1.89
O 0.0427 0.8965 0.6277  1 Nb 1.94, 1 Ni 1.97
O 0.9681 0.7953 0.3451  1 Nb 1.84
O 0.3244 0.4776 0.0036  2 Nb 1.95-1.97, 1 Li 2.18
O 0.0038 0.8180 0.8300  1 Ni 1.85, 1 Nb 2.02
O 0.7269 0.5435 0.4650  2 Nb 1.91-2.03, 1 Li 2.13
O 0.6927 0.1896 0.4248  1 Ni 1.88, 1 Nb 2.11
O 0.6908 0.2123 0.9554  1 Nb 1.88, 1 Li 1.99
O 0.3690 0.7937 0.5278  1 Nb 1.86
O 0.0597 0.2167 0.6289  2 Nb 1.89-2.09, 1 Li 2.02
O 0.7150 0.9066 0.9516  2 Nb 1.94-2.02, 1 Li 2.03
O 0.3473 0.5399 0.2786  1 Nb 1.88, 1 Li 2.01
O 0.6442 0.1456 0.6637  1 Nb 1.84
O 0.2969 0.0842 0.4928  2 Nb 1.92
O 0.3763 0.2184 0.7964  1 Ni 1.93, 1 Nb 1.99
O 0.0480 0.1152 0.8515  1 Ni 1.84, 1 Nb 2.03
O 0.7094 0.5381 0.9670  1 Nb 1.87, 1 Li 1.98
O 0.0533 0.5743 0.6275  1 Nb 1.85, 1 Li 2.06
O 0.9655 0.4020 0.3223  1 Nb 1.84
O 0.6970 0.4570 0.1914  2 Nb 1.96-1.97
O 0.6296 0.7351 0.6620  1 Nb 1.85
O 0.0538 0.2103 0.1243  1 Nb 1.86, 1 Li 2.02
O 0.6556 0.7784 0.1824  1 Ni 1.96, 1 Nb 2.01
O 0.0097 0.8673 0.1050  2 Nb 1.86-2.04
O 0.4334 0.8884 0.2917  1 Ni 1.85, 1 Nb 2.05
O 0.0596 0.5897 0.1358  2 Nb 1.87-2.09, 1 Li 2.06
O 0.3551 0.5437 0.7782  2 Nb 1.95-2.02, 1 Li 2.01
O 0.7099 0.4697 0.7103  1 Nb 1.84
O 0.2970 0.0689 0.9811  1 Ni 1.86, 1 Nb 2.04
O 0.9627 0.3886 0.8397  1 Nb 1.84
O 0.3695 0.8868 0.7922  1 Ni 1.95, 2 Nb 2.05-2.15
Nb 0.3262 0.6474 0.1583  4 O 1.87-2.05
Nb 0.6666 0.3310 0.8444  3 O 1.87-1.99
Nb 0.4940 0.0030 0.5020  3 O 1.84-1.92
Nb 0.1603 0.3312 0.3303  3 O 1.84-2.01
Nb 0.0302 0.0123 0.5050  4 O 1.89-2.10
Nb 0.6554 0.3425 0.3194  3 O 1.84-1.96
Nb 0.1770 0.3459 0.8261  4 O 1.84-2.03
Nb 0.3212 0.6593 0.6581  4 O 1.85-2.05
Nb 0.8202 0.6567 0.6581  4 O 1.84-2.03
Nb 0.9961 0.9987 0.0038  3 O 1.86-1.94
Nb 0.8519 0.6813 0.1738  4 O 1.84-2.04
Nb 0.5086 0.9860 0.9930  4 O 1.83-2.04
Li 0.5518 0.6642 0.9477  4 O 1.98-2.18
Li 0.8893 0.3399 0.1217  5 O 1.99-2.21
Li 0.5441 0.6679 0.4477  4 O 2.01-2.19
Li 0.8756 0.3253 0.6134  4 O 2.02-2.13
Ni 0.6980 0.9997 0.3043  6 O 1.85-2.01
Ni 0.1981 0.0011 0.8058  6 O 1.84-1.97

For the theoretical density, the calculation gives 4.6 Mg/m³. As for the energy relative to the lowest polymorph listed for this composition: 0.000 eV per atom. For the energy of formation from the pure elements, the calculation gives -258.10 kJ per mole of atoms. Its size of the total moment is 0.00 μB/f.u.